Entry 1:
Here is a relaxed structure of KCu2H2C2BrN2O from the Materials Project. Energies are from GGA-PBE.

Summary:
The formation energy comes out at -5.1 eV per formula unit.

Cell: 7.817 10.676 9.342 Å, 90.00 90.00 90.00°
Space group Pnma (No. 62)
Inequivalent atoms, fractional coordinates:
K 0.061 0.250 0.080 x4
Cu 0.246 0.065 0.724 x8
H 0.037 0.678 0.582 x8
C 0.242 0.000 0.907 x8
Br 0.000 0.250 0.734 x4
N 0.241 0.534 0.027 x8
O 0.070 0.750 0.641 x4

Entry 2:
Here is a relaxed structure of BiSBr from the Materials Project. Energies are from GGA-PBE.

Summary:
The formation energy comes out at -2.7 eV per formula unit.

Cell: 8.468 4.089 10.577 Å, 90.00 90.00 90.00°
Space group Pnma (No. 62)
Inequivalent atoms, fractional coordinates:
Bi 0.116 0.250 0.132 x4
S 0.170 0.750 0.962 x4
Br 0.027 0.250 0.689 x4

Entry 3:
Here is a relaxed structure of Zn5P4H12C2N2O16 from the Materials Project. Energies are from GGA-PBE.

Summary:
The formation energy comes out at -65.9 eV per formula unit.

Cell: 7.386 13.626 18.340 Å, 90.00 90.00 90.00°
Space group P2_12_12_1 (No. 19)
Inequivalent atoms, fractional coordinates:
Zn 0.003 0.129 0.223 x4
Zn 0.015 0.886 0.207 x4
Zn 0.054 0.360 0.803 x4
Zn 0.058 0.612 0.812 x4
Zn 0.142 0.498 0.583 x4
P 0.185 0.519 0.406 x4
P 0.191 0.996 0.794 x4
P 0.240 0.289 0.654 x4
P 0.240 0.307 0.172 x4
H 0.042 0.131 0.498 x4
H 0.065 0.790 0.524 x4
H 0.107 0.915 0.505 x4
H 0.111 0.235 0.402 x4
H 0.123 0.842 0.390 x4
H 0.162 0.157 0.912 x4
H 0.164 0.786 0.905 x4
H 0.214 0.161 0.038 x4
H 0.219 0.739 0.419 x4
H 0.226 0.068 0.453 x4
H 0.232 0.861 0.033 x4
H 0.238 0.285 0.468 x4
C 0.165 0.841 0.503 x4
C 0.186 0.134 0.484 x4
N 0.214 0.815 0.427 x4
N 0.221 0.222 0.437 x4
O 0.036 0.512 0.343 x4
O 0.047 0.989 0.728 x4
O 0.060 0.231 0.654 x4
O 0.073 0.744 0.666 x4
O 0.078 0.237 0.161 x4
O 0.088 0.524 0.480 x4
O 0.091 0.778 0.142 x4
O 0.095 0.005 0.867 x4
O 0.194 0.573 0.900 x4
O 0.196 0.099 0.291 x4
O 0.199 0.909 0.280 x4
O 0.207 0.385 0.891 x4
O 0.220 0.388 0.115 x4
O 0.227 0.352 0.252 x4
O 0.238 0.365 0.592 x4
O 0.239 0.661 0.232 x4

Entry 4:
Here is a relaxed structure of K2Ca3Si3O10 from the Materials Project. Energies are from GGA-PBE.

Summary:
The formation energy comes out at -57.7 eV per formula unit. As for the excess energy over the best structure of this formula in the dataset: 0.0 meV/atom.

Cell: 5.724 7.487 12.064 Å, 85.42 80.47 88.32°
Space group P-1 (No. 2)
Inequivalent atoms, fractional coordinates:
K 0.167 0.439 0.348 x2
K 0.279 0.540 0.874 x2
Ca 0.169 0.970 0.360 x2
Ca 0.207 0.744 0.123 x2
Ca 0.272 0.004 0.840 x2
Si 0.249 0.229 0.078 x2
Si 0.342 0.315 0.650 x2
Si 0.364 0.755 0.589 x2
O 0.083 0.238 0.704 x2
O 0.116 0.215 0.967 x2
O 0.122 0.833 0.550 x2
O 0.129 0.070 0.174 x2
O 0.212 0.433 0.123 x2
O 0.323 0.538 0.638 x2
O 0.419 0.251 0.521 x2
O 0.462 0.750 0.270 x2
O 0.463 0.811 0.958 x2
O 0.469 0.854 0.684 x2